No. 1
Density functional theory data (PBE) for a relaxed structure of Pr5Tl3.

Results
VASP energy ... -4.19 eV/atom
Energy of formation from the pure elements ... -30.9 kJ/mol of atoms
Crystal system ... tetragonal

CIF file:
```
data_Pr5Tl3
_cell_length_a 12.711
_cell_length_b 12.711
_cell_length_c 6.365
_cell_angle_alpha 90.00
_cell_angle_beta 90.00
_cell_angle_gamma 90.00
_symmetry_space_group_name_H-M 'I 4/m c m'
_symmetry_Int_Tables_number 140
_symmetry_space_group_name_Hall '-I 4 2c'
loop_
_atom_site_label
_atom_site_type_symbol
_atom_site_fract_x
_atom_site_fract_y
_atom_site_fract_z
_atom_site_occupancy
Pr1 Pr 0.000 0.500 0.250 1
Pr2 Pr 0.086 0.218 0.000 1
Tl1 Tl 0.000 0.000 0.250 1
Tl2 Tl 0.161 0.339 0.500 1
```



No. 2
Density functional theory data (PBE) for a relaxed structure of Pr3Tl.

Results
VASP energy ... -4.39 eV/atom
Energy of formation from the pure elements ... -20.6 kJ/mol of atoms
Crystal system ... cubic

CIF file:
```
data_Pr3Tl
_cell_length_a 5.040
_cell_length_b 5.040
_cell_length_c 5.040
_cell_angle_alpha 90.00
_cell_angle_beta 90.00
_cell_angle_gamma 90.00
_symmetry_space_group_name_H-M 'P m -3 m'
_symmetry_Int_Tables_number 221
_symmetry_space_group_name_Hall '-P 4 2 3'
loop_
_atom_site_label
_atom_site_type_symbol
_atom_site_fract_x
_atom_site_fract_y
_atom_site_fract_z
_atom_site_occupancy
Pr1 Pr 0.000 0.000 0.500 1
Tl1 Tl 0.500 0.500 0.500 1
```



No. 3
Density functional theory data (PBE) for a relaxed structure of PrTmTl2.

Results
VASP energy ... -3.83 eV/atom
Energy of formation from the pure elements ... -32.4 kJ/mol of atoms
Crystal system ... cubic

CIF file:
```
data_PrTmTl2
_cell_length_a 7.701
_cell_length_b 7.701
_cell_length_c 7.701
_cell_angle_alpha 90.00
_cell_angle_beta 90.00
_cell_angle_gamma 90.00
_symmetry_space_group_name_H-M 'F m -3 m'
_symmetry_Int_Tables_number 225
_symmetry_space_group_name_Hall '-F 4 2 3'
loop_
_atom_site_label
_atom_site_type_symbol
_atom_site_fract_x
_atom_site_fract_y
_atom_site_fract_z
_atom_site_occupancy
Pr1 Pr 0.000 0.000 0.000 1
Tm1 Tm 0.000 0.000 0.500 1
Tl1 Tl 0.250 0.250 0.250 1
```



No. 4
Density functional theory data (PBE) for a relaxed structure of PrTm3.

Results
VASP energy ... -4.52 eV/atom
Polymorph energy (0 for the lowest one) ... 19.7 meV per atom
Energy of formation from the pure elements ... 3.5 kJ/mol of atoms
Crystal system ... tetragonal

CIF file:
```
data_PrTm3
_cell_length_a 5.029
_cell_length_b 5.029
_cell_length_c 9.996
_cell_angle_alpha 90.00
_cell_angle_beta 90.00
_cell_angle_gamma 90.00
_symmetry_space_group_name_H-M 'I 4/m m m'
_symmetry_Int_Tables_number 139
_symmetry_space_group_name_Hall '-I 4 2'
loop_
_atom_site_label
_atom_site_type_symbol
_atom_site_fract_x
_atom_site_fract_y
_atom_site_fract_z
_atom_site_occupancy
Pr1 Pr 0.000 0.000 0.000 1
Tm1 Tm 0.000 0.000 0.500 1
Tm2 Tm 0.000 0.500 0.250 1
```



No. 5
Density functional theory data (PBE) for a relaxed structure of PrTm3.

Results
VASP energy ... -4.54 eV/atom
Polymorph energy (0 for the lowest one) ... 0.0 meV per atom
Energy of formation from the pure elements ... 1.6 kJ/mol of atoms
Crystal system ... hexagonal

CIF file:
```
data_PrTm3
_cell_length_a 7.2162
_cell_length_b 7.2162
_cell_length_c 5.6711
_cell_angle_alpha 90.00
_cell_angle_beta 90.00
_cell_angle_gamma 120.00
_symmetry_space_group_name_H-M 'P 63/m m c'
_symmetry_Int_Tables_number 194
_symmetry_space_group_name_Hall '-P 6c 2c'
loop_
_atom_site_label
_atom_site_type_symbol
_atom_site_fract_x
_atom_site_fract_y
_atom_site_fract_z
_atom_site_occupancy
Pr1 Pr 0.3333 0.6667 0.2500 1
Tm1 Tm 0.1644 0.3288 0.7500 1
```



No. 6
Density functional theory data (PBE) for a relaxed structure of PrY3.

Results
VASP energy ... -6.03 eV/atom
Polymorph energy (0 for the lowest one) ... 0.0 meV per atom
Energy of formation from the pure elements ... 1.4 kJ/mol of atoms
Crystal system ... hexagonal

CIF file:
```
data_PrY3
_cell_length_a 7.3435
_cell_length_b 7.3435
_cell_length_c 5.8301
_cell_angle_alpha 90.00
_cell_angle_beta 90.00
_cell_angle_gamma 120.00
_symmetry_space_group_name_H-M 'P 63/m m c'
_symmetry_Int_Tables_number 194
_symmetry_space_group_name_Hall '-P 6c 2c'
loop_
_atom_site_label
_atom_site_type_symbol
_atom_site_fract_x
_atom_site_fract_y
_atom_site_fract_z
_atom_site_occupancy
Pr1 Pr 0.3333 0.6667 0.2500 1
Y1 Y 0.1655 0.3310 0.7500 1
```



No. 7
Density functional theory data (PBE) for a relaxed structure of Pr3Y.

Results
VASP energy ... -5.19 eV/atom
Polymorph energy (0 for the lowest one) ... 9.8 meV per atom
Energy of formation from the pure elements ... 1.5 kJ/mol of atoms
Crystal system ... tetragonal

CIF file:
```
data_Pr3Y
_cell_length_a 5.208
_cell_length_b 5.208
_cell_length_c 10.450
_cell_angle_alpha 90.00
_cell_angle_beta 90.00
_cell_angle_gamma 90.00
_symmetry_space_group_name_H-M 'I 4/m m m'
_symmetry_Int_Tables_number 139
_symmetry_space_group_name_Hall '-I 4 2'
loop_
_atom_site_label
_atom_site_type_symbol
_atom_site_fract_x
_atom_site_fract_y
_atom_site_fract_z
_atom_site_occupancy
Pr1 Pr 0.000 0.000 0.000 1
Pr2 Pr 0.000 0.500 0.250 1
Y1 Y 0.000 0.000 0.500 1
```



No. 8
Density functional theory data (PBE) for a relaxed structure of Pr3Y.

Results
VASP energy ... -5.20 eV/atom
Polymorph energy (0 for the lowest one) ... 0.0 meV per atom
Energy of formation from the pure elements ... 0.5 kJ/mol of atoms
Crystal system ... cubic

CIF file:
```
data_Pr3Y
_cell_length_a 5.207
_cell_length_b 5.207
_cell_length_c 5.207
_cell_angle_alpha 90.00
_cell_angle_beta 90.00
_cell_angle_gamma 90.00
_symmetry_space_group_name_H-M 'P m -3 m'
_symmetry_Int_Tables_number 221
_symmetry_space_group_name_Hall '-P 4 2 3'
loop_
_atom_site_label
_atom_site_type_symbol
_atom_site_fract_x
_atom_site_fract_y
_atom_site_fract_z
_atom_site_occupancy
Pr1 Pr 0.000 0.000 0.500 1
Y1 Y 0.500 0.500 0.500 1
```